A geometry-optimized NaHf3ZnP3S3O24 structure. Source: Materials Project, functional GGA-PBE.

abc: 8.844 8.847 22.986
angles: 90.07 89.97 120.11
Element x y z (fractional)
Na 0.655 0.331 0.829
Na 0.674 0.329 0.325
Na 0.330 0.675 0.171
Hf 0.995 0.994 0.357
Hf 0.006 0.005 0.859
Hf 0.000 0.001 0.645
Hf 0.995 0.996 0.142
Hf 0.673 0.335 0.980
Hf 0.674 0.340 0.481
Hf 0.334 0.672 0.019
Hf 0.340 0.673 0.519
Hf 0.334 0.661 0.811
Zn 0.649 0.341 0.686
Zn 0.677 0.328 0.180
Zn 0.330 0.680 0.318
P 0.293 0.285 0.750
P 0.664 0.620 0.586
P 0.958 0.618 0.087
P 0.659 0.042 0.087
P 0.619 0.662 0.916
P 0.044 0.383 0.916
P 0.340 0.957 0.915
P 0.618 0.959 0.414
P 0.046 0.662 0.414
S 0.293 0.004 0.250
S 0.704 0.705 0.250
S 0.004 0.293 0.251
S 0.997 0.709 0.751
S 0.714 0.007 0.750
S 0.956 0.336 0.586
S 0.380 0.045 0.585
S 0.380 0.338 0.086
S 0.337 0.380 0.415
O 0.198 0.013 0.302
O 0.814 0.799 0.303
O 0.993 0.186 0.303
O 0.194 0.170 0.803
O 0.973 0.796 0.802
O 0.821 0.024 0.802
O 0.797 0.980 0.697
O 0.181 0.195 0.695
O 0.018 0.815 0.698
O 0.799 0.814 0.198
O 0.014 0.199 0.198
O 0.186 0.992 0.198
O 0.880 0.367 0.637
O 0.488 0.115 0.636
O 0.626 0.509 0.639
O 0.884 0.512 0.142
O 0.617 0.111 0.141
O 0.486 0.371 0.138
O 0.460 0.311 0.033
O 0.843 0.534 0.032
O 0.685 0.155 0.032
O 0.460 0.155 0.533
O 0.698 0.536 0.531
O 0.843 0.302 0.533
O 0.536 0.690 0.970
O 0.155 0.466 0.970
O 0.314 0.847 0.969
O 0.534 0.844 0.468
O 0.308 0.459 0.468
O 0.157 0.687 0.469
O 0.114 0.618 0.360
O 0.510 0.886 0.359
O 0.374 0.486 0.363
O 0.131 0.497 0.862
O 0.369 0.871 0.861
O 0.503 0.632 0.862
O 0.030 0.828 0.406
O 0.804 0.981 0.407
O 0.179 0.203 0.408
O 0.025 0.202 0.907
O 0.175 0.971 0.906
O 0.799 0.823 0.905
O 0.974 0.177 0.592
O 0.204 0.027 0.591
O 0.828 0.804 0.594
O 0.979 0.803 0.094
O 0.827 0.029 0.094
O 0.203 0.179 0.092
O 0.699 0.163 0.745
O 0.473 0.301 0.749
O 0.845 0.532 0.746
O 0.694 0.534 0.247
O 0.843 0.303 0.250
O 0.464 0.165 0.248
O 0.638 0.498 0.923
O 0.861 0.363 0.922
O 0.500 0.141 0.923
O 0.644 0.143 0.426
O 0.487 0.351 0.425
O 0.857 0.505 0.425
O 0.353 0.488 0.077
O 0.143 0.644 0.076
O 0.506 0.854 0.076
O 0.352 0.867 0.573
O 0.507 0.645 0.570
O 0.131 0.486 0.573
O 0.304 0.842 0.251
O 0.533 0.695 0.253
O 0.166 0.464 0.253
O 0.304 0.465 0.758
O 0.162 0.705 0.757
O 0.540 0.846 0.756

Computed properties:
The calculation puts the formation energy at -2.758 eV per atom. The calculation puts the MP2020-corrected energy at -7.8964 eV per atom. The total DFT energy (no corrections) is -7.43 eV/atom.

---

A geometry-optimized Na7HfZn3P5SO24 structure. Source: Materials Project, functional GGA-PBE.

abc: 9.092 9.066 22.083
angles: 89.25 90.44 119.90
Element x y z (fractional)
Na 0.623 0.997 0.251
Na 0.368 0.362 0.252
Na 0.008 0.639 0.249
Na 0.647 0.634 0.745
Na 0.990 0.354 0.746
Na 0.295 0.340 0.587
Na 0.032 0.701 0.588
Na 0.675 0.960 0.585
Na 0.293 0.957 0.082
Na 0.663 0.703 0.079
Na 0.041 0.336 0.080
Na 0.975 0.681 0.908
Na 0.320 0.293 0.908
Na 0.322 0.020 0.410
Na 0.698 0.679 0.415
Na 0.994 0.015 0.497
Na 0.985 0.000 0.994
Na 0.650 0.302 0.824
Na 0.671 0.325 0.329
Na 0.332 0.672 0.163
Na 0.334 0.671 0.663
Hf 0.667 0.328 0.981
Hf 0.677 0.337 0.480
Hf 0.336 0.676 0.815
Zn 0.010 0.010 0.352
Zn 0.997 0.002 0.845
Zn 0.996 0.003 0.661
Zn 0.009 0.998 0.147
Zn 0.670 0.337 0.685
Zn 0.656 0.322 0.175
Zn 0.337 0.668 0.013
Zn 0.330 0.655 0.509
Zn 0.329 0.672 0.328
P 0.298 0.999 0.250
P 0.300 0.299 0.751
P 0.001 0.705 0.750
P 0.703 0.002 0.748
P 0.967 0.336 0.587
P 0.665 0.630 0.584
P 0.960 0.627 0.086
P 0.668 0.033 0.088
P 0.370 0.336 0.085
P 0.633 0.670 0.920
P 0.038 0.370 0.919
P 0.331 0.962 0.921
P 0.633 0.964 0.416
P 0.333 0.367 0.417
P 0.037 0.670 0.416
S 0.703 0.703 0.250
S 0.000 0.295 0.248
S 0.374 0.040 0.583
O 0.213 0.022 0.307
O 0.803 0.788 0.305
O 0.977 0.184 0.302
O 0.216 0.198 0.809
O 0.981 0.790 0.806
O 0.821 0.031 0.801
O 0.767 0.961 0.689
O 0.190 0.223 0.693
O 0.024 0.806 0.691
O 0.785 0.806 0.195
O 0.016 0.218 0.192
O 0.191 0.975 0.192
O 0.887 0.358 0.645
O 0.480 0.126 0.636
O 0.642 0.522 0.642
O 0.875 0.521 0.144
O 0.643 0.108 0.147
O 0.473 0.360 0.144
O 0.470 0.318 0.030
O 0.848 0.530 0.030
O 0.686 0.156 0.034
O 0.460 0.139 0.526
O 0.676 0.528 0.528
O 0.846 0.316 0.532
O 0.552 0.686 0.978
O 0.140 0.451 0.977
O 0.310 0.863 0.980
O 0.548 0.855 0.474
O 0.317 0.447 0.476
O 0.147 0.694 0.472
O 0.108 0.641 0.357
O 0.523 0.892 0.359
O 0.365 0.481 0.360
O 0.130 0.488 0.864
O 0.350 0.865 0.866
O 0.514 0.644 0.864
O 0.009 0.825 0.413
O 0.810 0.982 0.411
O 0.183 0.184 0.413
O 0.019 0.194 0.912
O 0.176 0.985 0.914
O 0.814 0.817 0.912
O 0.982 0.173 0.587
O 0.205 0.029 0.584
O 0.831 0.804 0.583
O 0.969 0.803 0.085
O 0.833 0.023 0.087
O 0.194 0.170 0.084
O 0.681 0.159 0.743
O 0.483 0.332 0.747
O 0.844 0.523 0.748
O 0.689 0.532 0.249
O 0.848 0.319 0.247
O 0.479 0.162 0.247
O 0.640 0.498 0.921
O 0.861 0.363 0.922
O 0.494 0.144 0.922
O 0.647 0.145 0.423
O 0.500 0.351 0.421
O 0.852 0.509 0.422
O 0.349 0.494 0.079
O 0.139 0.647 0.082
O 0.509 0.856 0.081
O 0.353 0.866 0.580
O 0.506 0.652 0.579
O 0.143 0.498 0.580
O 0.317 0.836 0.254
O 0.529 0.682 0.252
O 0.157 0.466 0.253
O 0.315 0.483 0.756
O 0.162 0.680 0.755
O 0.524 0.836 0.757

Computed properties:
The calculation puts the formation energy at -2.555 eV per atom. The calculation puts the MP2020-corrected energy at -6.7733 eV per atom. The total DFT energy (no corrections) is -6.37 eV/atom.